No. 1
Compound: POs6C18ClO18
Source: the Materials Project database
Functional: PBE-GGA
Structure: relaxed

Cell: 9.2222 10.4282 17.5357 Å, 91.50 90.87 114.69°
Fractional coordinates of all 88 atoms:
P  0.1596  0.3022  0.2512
P  0.8404  0.6978  0.7488
Os  0.0334  0.3299  0.1308
Os  0.0616  0.9106  0.7018
Os  0.1700  0.3608  0.3820
Os  0.1727  0.1250  0.1720
Os  0.2443  0.5504  0.2510
Os  0.4302  0.3752  0.2767
Os  0.5698  0.6248  0.7233
Os  0.7557  0.4496  0.7490
Os  0.8273  0.8750  0.8280
Os  0.8300  0.6392  0.6180
Os  0.9384  0.0894  0.2982
Os  0.9666  0.6701  0.8692
C  0.0049  0.9841  0.1119
C  0.0092  0.6041  0.5897
C  0.0134  0.5122  0.8922
C  0.0526  0.9991  0.3468
C  0.0719  0.6041  0.2647
C  0.1043  0.7956  0.9476
C  0.1696  0.2329  0.4582
C  0.1925  0.9233  0.6144
C  0.1986  0.0872  0.7501
C  0.2105  0.3960  0.0666
C  0.2559  0.0012  0.2139
C  0.3223  0.5127  0.4436
C  0.3237  0.1741  0.0922
C  0.3449  0.6548  0.1640
C  0.3875  0.6992  0.3176
C  0.4183  0.4740  0.6616
C  0.4343  0.5746  0.8093
C  0.4779  0.2376  0.3280
C  0.5221  0.7624  0.6720
C  0.5657  0.4254  0.1907
C  0.5817  0.5260  0.3384
C  0.6125  0.3008  0.6824
C  0.6551  0.3452  0.8360
C  0.6763  0.8259  0.9078
C  0.6777  0.4873  0.5564
C  0.7441  0.9988  0.7861
C  0.7895  0.6040  0.9334
C  0.8014  0.9128  0.2499
C  0.8075  0.0767  0.3856
C  0.8304  0.7671  0.5418
C  0.8957  0.2044  0.0524
C  0.9281  0.3959  0.7353
C  0.9474  0.0009  0.6532
C  0.9866  0.4878  0.1078
C  0.9908  0.3959  0.4103
C  0.9951  0.0159  0.8881
Cl  0.1914  0.7824  0.7784
Cl  0.8086  0.2176  0.2216
O  0.0288  0.4138  0.9137
O  0.0299  0.3592  0.7262
O  0.0988  0.1030  0.9237
O  0.1181  0.5811  0.5730
O  0.1213  0.9409  0.3757
O  0.1674  0.1584  0.5069
O  0.1910  0.8675  0.9953
O  0.2633  0.9350  0.5592
O  0.2789  0.1975  0.7774
O  0.3113  0.9265  0.2355
O  0.3176  0.4388  0.0261
O  0.3213  0.3815  0.6257
O  0.3500  0.5413  0.8608
O  0.4065  0.7224  0.1123
O  0.4125  0.5985  0.4853
O  0.4184  0.1980  0.0454
O  0.4743  0.7962  0.3545
O  0.4873  0.8417  0.6392
O  0.5127  0.1583  0.3608
O  0.5257  0.2038  0.6455
O  0.5816  0.8020  0.9546
O  0.5875  0.4015  0.5147
O  0.5935  0.2776  0.8877
O  0.6500  0.4587  0.1392
O  0.6787  0.6185  0.3743
O  0.6824  0.5612  0.9739
O  0.6887  0.0735  0.7645
O  0.7211  0.8025  0.2226
O  0.7367  0.0650  0.4408
O  0.8090  0.1325  0.0047
O  0.8326  0.8416  0.4931
O  0.8787  0.0591  0.6243
O  0.8819  0.4189  0.4270
O  0.9012  0.8970  0.0763
O  0.9701  0.6408  0.2738
O  0.9712  0.5862  0.0863

Summary:
- Symmetry: P-1, No. 2

***

No. 2
Compound: KErP4O12
Source: the Materials Project database
Functional: PBE-GGA
Structure: relaxed

Cell: 7.9038 7.9038 17.4393 Å, 90.00 90.00 97.59°
Fractional coordinates of all 72 atoms:
K  0.0281  0.7638  0.8681
K  0.2362  0.9719  0.6319
K  0.7638  0.0281  0.1319
K  0.9719  0.2362  0.3681
Er  0.0288  0.4027  0.6423
Er  0.4027  0.0288  0.3577
Er  0.5973  0.9712  0.8577
Er  0.9712  0.5973  0.1423
P  0.0363  0.7358  0.3421
P  0.2204  0.6807  0.4852
P  0.2642  0.9637  0.1579
P  0.2828  0.3202  0.1942
P  0.3193  0.7796  0.0148
P  0.3202  0.2828  0.8058
P  0.3513  0.3513  0.5000
P  0.3668  0.6332  0.7500
P  0.6332  0.3668  0.2500
P  0.6487  0.6487  0.0000
P  0.6798  0.7172  0.3058
P  0.6807  0.2204  0.5148
P  0.7172  0.6798  0.6942
P  0.7358  0.0363  0.6579
P  0.7796  0.3193  0.9852
P  0.9637  0.2642  0.8421
O  0.0527  0.6327  0.2714
O  0.0819  0.8797  0.1523
O  0.0975  0.6249  0.4123
O  0.1193  0.6405  0.5573
O  0.1203  0.9181  0.3477
O  0.1426  0.6871  0.0259
O  0.1616  0.2647  0.8657
O  0.1937  0.4538  0.1569
O  0.1995  0.6050  0.7082
O  0.2366  0.3111  0.5683
O  0.2408  0.2570  0.2738
O  0.2570  0.2408  0.7262
O  0.2647  0.1616  0.1343
O  0.3111  0.2366  0.4317
O  0.3129  0.8574  0.4741
O  0.3575  0.5472  0.4750
O  0.3595  0.8807  0.9427
O  0.3673  0.9473  0.2286
O  0.3751  0.9025  0.0877
O  0.3862  0.4871  0.8122
O  0.3950  0.8005  0.7918
O  0.4528  0.6425  0.0250
O  0.4538  0.1937  0.8431
O  0.4871  0.3862  0.1878
O  0.5129  0.6138  0.6878
O  0.5462  0.8063  0.3431
O  0.5472  0.3575  0.5250
O  0.6050  0.1995  0.2918
O  0.6138  0.5129  0.3122
O  0.6249  0.0975  0.5877
O  0.6327  0.0527  0.7286
O  0.6405  0.1193  0.4427
O  0.6425  0.4528  0.9750
O  0.6871  0.1426  0.9741
O  0.6889  0.7634  0.9317
O  0.7353  0.8384  0.6343
O  0.7430  0.7592  0.2262
O  0.7592  0.7430  0.7738
O  0.7634  0.6889  0.0683
O  0.8005  0.3950  0.2082
O  0.8063  0.5462  0.6569
O  0.8384  0.7353  0.3657
O  0.8574  0.3129  0.5259
O  0.8797  0.0819  0.8477
O  0.8807  0.3595  0.0573
O  0.9025  0.3751  0.9123
O  0.9181  0.1203  0.6523
O  0.9473  0.3673  0.7714

Summary:
- Symmetry: C222_1, No. 20
- Distance to the lowest polymorph of the same formula: 0 meV per atom

***

No. 3
Compound: AlP
Source: the Materials Project database
Functional: PBE-GGA
Structure: relaxed

Cell: 3.8855 3.8855 6.3816 Å, 90.00 90.00 120.00°
Fractional coordinates of all 4 atoms:
Al  0.3333  0.6667  0.0000
Al  0.6667  0.3333  0.5000
P  0.3333  0.6667  0.3749
P  0.6667  0.3333  0.8749

Summary:
- Symmetry: P6_3mc, No. 186
- Maximum piezoelectric response: 0.15 C/m²

***

No. 4
Compound: CaSbF5
Source: the Materials Project database
Functional: PBE-GGA
Structure: relaxed

Cell: 5.9840 5.9840 8.2936 Å, 110.26 110.26 72.31°
Fractional coordinates of all 14 atoms:
Ca  0.0302  0.9698  0.5000
Ca  0.9698  0.0302  0.0000
Sb  0.4979  0.5039  0.7478
Sb  0.5039  0.4979  0.2478
F  0.1762  0.8087  0.7871
F  0.2005  0.8191  0.2094
F  0.2337  0.2757  0.1188
F  0.2757  0.2337  0.6188
F  0.3670  0.6306  0.5044
F  0.6306  0.3670  0.0044
F  0.7237  0.7674  0.8734
F  0.7674  0.7237  0.3734
F  0.8087  0.1762  0.2871
F  0.8191  0.2005  0.7094

Summary:
- Symmetry: Cc, No. 9
- Distance to the lowest polymorph of the same formula: 73 meV per atom

***

| no. | density (g cm⁻³) | formation energy (meV/atom) |
| --- | --- | --- |
| 1 | 3.71 | -935 |
| 2 | 3.21 | -2927 |
| 3 | 2.31 | -605 |
| 4 | 3.34 | -3261 |